(1)
A geometry-optimized Li3VBPO7 structure. Source: Materials Project, functional GGA+U.

Geometry as POSCAR:
```
Li3VBPO7
1.0
5.0581 0.0000 0.0000
0.0000 6.4127 0.0000
-0.8254 0.0000 8.4451
Li V B P O
6 2 2 2 14
Cartesian
1.1583 1.6032 0.7802
0.6585 0.0256 6.4767
0.6585 3.1808 6.4767
3.5742 3.2319 1.9684
3.5742 6.3871 1.9684
3.0744 4.8095 7.6649
0.7960 4.8095 2.7310
3.4367 1.6032 5.7141
1.4105 4.8095 0.3566
2.8222 1.6032 8.0886
1.0095 1.6032 3.5277
3.2233 4.8095 4.9174
0.0703 4.8095 0.7419
0.2320 1.6032 4.8604
0.6156 0.4004 2.6148
0.6156 2.8059 2.6148
1.0730 4.8095 7.5395
1.7082 4.8095 4.6206
2.2958 4.8095 1.4750
1.9369 1.6032 6.9702
2.5246 1.6032 3.8245
3.1597 1.6032 0.9056
3.6171 3.6067 5.8303
3.6171 6.0123 5.8303
4.0007 4.8095 3.5847
4.1625 1.6032 7.7032
```

symmetry: No. 11
formation energy from the elements: -2655.0 meV/atom
size of the total moment: 0.15 μB/atom

---

(2)
A geometry-optimized Li2VBPO7 structure. Source: Materials Project, functional GGA+U.

Geometry as POSCAR:
```
Li2VBPO7
1.0
4.4017 -4.3291 0.6922
7.3866 7.4324 -0.4885
-3.7526 -2.3677 9.0523
Li O B P V
8 28 4 4 4
Cartesian
4.8113 1.8342 7.3354
-0.8589 0.0624 7.2684
6.9178 2.6175 1.6763
2.8343 3.7786 7.0245
8.8949 0.6732 1.9872
3.2247 -1.0986 1.9210
5.2013 -3.0430 2.2320
1.1180 -1.8818 7.5792
1.6926 -4.1252 5.2532
3.1461 -0.7554 6.1515
8.9700 2.7035 1.6841
5.3861 -0.4092 5.0079
0.5432 -0.8171 5.3726
5.8947 0.6480 8.3846
3.1643 3.1897 2.8327
1.1961 -2.2248 3.3486
4.2363 2.8986 5.1286
4.8374 3.8951 7.5370
2.2015 -3.0680 8.6290
5.2769 -1.0127 1.9286
5.8344 3.8037 0.6271
2.7590 1.7485 7.3275
6.8917 0.5566 1.4749
3.7992 -2.1632 4.1276
6.8386 2.9598 5.9077
2.1411 0.0875 0.8715
3.1981 -3.1596 1.7196
7.4929 1.5530 3.8833
4.8724 -2.4533 6.4230
-0.5303 -0.5270 3.0773
1.1444 0.1791 7.7806
6.3430 4.8610 4.0039
-0.9345 -1.9680 7.5718
8.5649 1.2621 6.1791
2.6501 1.1448 4.2471
4.8906 1.4919 3.1043
9.7252 3.3007 0.6185
2.0039 1.1511 8.3932
6.0327 -0.4148 0.8623
-1.6899 -2.5656 8.6380
8.0041 2.2740 5.1405
0.0312 -1.5382 4.1158
4.3109 -1.4420 5.3846
3.7251 2.1778 3.8712
2.5004 -3.5900 3.4630
6.1928 0.1253 3.2188
5.5354 4.3260 5.7929
1.8420 0.6096 6.0372
```

formation energy from the elements: -2617.8 meV/atom
size of the total moment: 0.00 μB/atom

---

(3)
A geometry-optimized RbLi2V2B3O9 structure. Source: Materials Project, functional GGA+U.

Geometry as POSCAR:
```
RbLi2V2B3O9
1.0
6.4642 0.0000 0.0000
0.0000 5.1237 0.0000
-0.3307 0.0000 13.1160
Rb Li V B O
2 4 4 6 18
Cartesian
-0.0827 1.0523 3.2790
-0.2480 4.0714 9.8370
3.0897 0.8783 4.7785
2.9244 4.2454 11.3365
3.2091 0.8783 1.7794
3.0438 4.2454 8.3374
1.3405 1.6406 7.3764
1.5059 3.4831 0.8184
4.6277 1.6406 12.2975
4.7930 3.4831 5.7396
0.9685 0.9152 12.5488
1.1339 4.2085 5.9909
2.9841 1.6967 9.8370
3.1494 3.4270 3.2790
4.9996 0.9152 7.1251
5.1650 4.2085 0.5671
0.0142 1.5284 11.7511
0.1796 3.5953 5.1931
1.4147 0.4361 5.8380
1.2493 4.6876 12.3960
1.9698 1.6358 0.4139
1.8044 3.4879 6.9719
2.3949 0.9260 8.8142
2.5603 4.1977 2.2562
3.1494 2.0765 3.2790
2.9841 3.0472 9.8370
3.5733 0.9260 10.8597
3.7386 4.1977 4.3017
4.3291 1.6358 6.1441
4.1638 3.4879 12.7021
4.8842 0.4361 0.7199
4.7188 4.6876 7.2779
5.9540 1.5284 7.9228
6.1193 3.5953 1.3648
```

symmetry: No. 13
formation energy from the elements: -2600.7 meV/atom
size of the total moment: 0.24 μB/atom

---

(4)
A geometry-optimized Li2VBO4 structure. Source: Materials Project, functional GGA+U.

Geometry as POSCAR:
```
Li2VBO4
1.0
10.9039 0.0000 0.0000
0.0000 5.8892 0.0000
0.0000 0.0000 4.7142
Li V B O
8 4 4 16
Cartesian
0.8889 0.0254 0.9179
0.8889 2.9192 0.9179
4.5630 2.9700 3.2750
4.5630 5.8638 3.2750
6.3409 0.0254 1.4392
6.3409 2.9192 1.4392
10.0150 2.9700 3.7963
10.0150 5.8638 3.7963
1.9620 1.4723 3.2779
3.4900 4.4169 0.9208
7.4139 1.4723 3.7934
8.9420 4.4169 1.4363
1.7640 4.4169 3.1735
3.6879 1.4723 0.8164
7.2160 4.4169 3.8978
9.1399 1.4723 1.5407
1.0557 3.1797 3.6489
1.0557 5.6541 3.6489
1.7589 4.4169 1.6844
2.2355 1.4723 1.2774
3.2165 4.4169 3.6345
3.6930 1.4723 4.0415
4.3962 0.2351 1.2918
4.3962 2.7095 1.2918
6.5077 3.1797 3.4223
6.5077 5.6541 3.4223
7.2109 4.4169 0.6727
7.6875 1.4723 1.0797
8.6684 4.4169 3.4368
9.1450 1.4723 3.0298
9.8482 0.2351 1.0652
9.8482 2.7095 1.0652
```

symmetry: No. 62
formation energy from the elements: -2510.4 meV/atom
size of the total moment: 0.25 μB/atom

---

(5)
A geometry-optimized LiVB2O5 structure. Source: Materials Project, functional GGA+U.

Geometry as POSCAR:
```
LiVB2O5
1.0
6.9408 0.0000 0.0000
0.0000 9.6303 0.0000
-1.6656 0.0000 5.5657
Li V B O
4 4 8 20
Cartesian
1.2243 0.5560 0.9137
0.3915 4.2592 3.6966
4.8837 5.3711 1.8691
4.0509 9.0743 4.6520
1.2115 6.5118 1.6108
0.3787 7.9336 4.3937
4.8965 1.6967 1.1720
4.0637 3.1184 3.9549
-0.4946 1.1151 3.7432
0.3382 3.7000 0.9604
1.9184 0.8469 4.1065
2.7512 3.9683 1.3236
2.5240 5.6620 4.2421
3.3568 8.7834 1.4592
4.9370 5.9302 4.6053
5.7698 8.5152 1.8225
-1.0314 6.7413 5.1541
-0.1985 7.7041 2.3713
0.0351 4.8297 1.6618
-0.7977 9.6157 4.4447
0.8217 1.5569 3.5790
1.6546 3.2583 0.7961
1.4747 6.3942 3.7235
2.3075 8.0512 0.9407
2.8228 5.3169 1.3572
1.9900 9.1285 4.1401
3.2852 0.5018 1.4257
2.4524 4.3133 4.2085
2.9677 1.5791 4.6250
3.8005 3.2361 1.8422
3.6206 6.3720 4.7696
4.4535 8.0734 1.9867
6.0729 0.0146 1.1210
5.2401 4.8006 3.9039
5.4737 1.9262 3.1944
6.3066 2.8890 0.4116
```

symmetry: No. 14
formation energy from the elements: -2692.9 meV/atom
size of the total moment: 0.22 μB/atom

---

(6)
A geometry-optimized Li2VB5O10 structure. Source: Materials Project, functional GGA+U.

Geometry as POSCAR:
```
Li2VB5O10
1.0
7.2620 0.0000 0.0000
0.0000 15.4025 0.0000
-0.1121 0.0000 7.2896
Li V B O
8 4 20 40
Cartesian
0.6056 2.5981 7.2889
0.6616 5.1032 3.6441
2.2058 8.8411 0.6599
2.1498 14.2626 4.3047
5.0002 1.1399 2.9849
4.9441 6.5614 6.6297
6.4884 10.2993 3.6455
6.5444 12.8044 0.0007
1.0440 1.9114 3.9041
1.1001 5.7899 0.2593
6.0499 9.6126 7.0303
6.1060 13.4911 3.3855
1.3657 0.4004 6.6243
1.4217 7.3008 2.9795
1.5703 11.1417 0.1555
1.5143 11.9620 3.8003
1.7132 7.7666 5.3461
1.7692 15.3372 1.7013
2.2528 9.5565 3.6835
2.3088 13.5473 0.0387
3.3230 3.7260 0.0079
3.2670 3.9753 3.6527
3.8830 11.4272 3.6369
3.8270 11.6765 7.2817
4.8412 1.8552 7.2509
4.8972 5.8461 3.6061
5.3808 0.0654 5.5883
5.4368 7.6359 1.9435
5.6357 3.4405 3.4894
5.5797 4.2608 7.1342
5.7283 8.1017 4.3101
5.7843 15.0021 0.6653
0.6717 10.1290 0.2828
0.6156 12.9747 3.9276
1.0034 1.3656 5.7389
1.0594 6.3357 2.0941
1.1828 10.6428 3.5993
1.1268 12.4610 7.2441
1.2309 0.7477 0.6848
1.1749 6.9535 4.3296
1.7678 0.3651 3.0055
1.7118 7.3361 6.6503
1.9671 8.5136 2.6407
1.9111 14.5902 6.2855
1.9564 3.5853 3.7138
2.0124 4.1159 0.0690
2.2314 8.9797 5.0312
2.2875 14.1241 1.3864
2.9218 10.7413 0.2717
2.8657 12.3624 3.9165
3.5636 10.1252 3.4211
3.5076 12.9786 7.0659
3.6424 2.4239 0.2237
3.5864 5.2773 3.8685
4.2843 3.0401 3.3731
4.2282 4.6612 7.0179
4.8625 1.2785 5.9032
4.9186 6.4228 2.2584
5.1376 11.2866 7.2206
5.1936 11.8172 3.5758
5.2389 0.8123 1.0041
5.1829 6.8889 4.6489
5.4382 8.0664 0.6393
5.3822 15.0374 4.2841
5.9751 8.4490 2.9600
5.9191 14.6548 6.6048
6.0232 2.9415 0.0455
5.9672 4.7597 3.6903
6.0906 9.0669 5.1955
6.1466 14.0369 1.5507
6.5343 2.4278 3.3620
6.4783 5.2735 7.0068
```

symmetry: No. 14
formation energy from the elements: -2744.4 meV/atom
size of the total moment: 0.11 μB/atom

---

(7)
A geometry-optimized Li2VBO4 structure. Source: Materials Project, functional GGA+U.

Geometry as POSCAR:
```
Li2VBO4
1.0
6.7157 0.0000 0.0000
0.0000 5.1738 0.0000
-1.3414 0.0000 10.6044
Li V B O
8 4 4 16
Cartesian
0.3299 0.7641 3.1280
-0.3409 1.8228 8.4302
0.6355 0.9183 6.1032
1.3062 1.6686 0.8010
4.0681 3.5052 9.8034
4.7388 4.2555 4.5012
5.7151 3.3510 2.1742
5.0444 4.4097 7.4764
2.4257 3.2695 6.8574
3.0964 4.4912 1.5552
2.2779 0.6826 9.0492
2.9486 1.9043 3.7470
0.7034 3.5521 4.6553
0.0327 4.2087 9.9575
5.3416 0.9652 0.6469
4.6709 1.6217 5.9491
-0.8069 3.6415 9.0579
-0.1362 4.1192 3.7557
0.4677 0.3902 9.8706
1.1384 2.1967 4.5684
1.8590 3.4861 0.4476
1.1883 4.2747 5.7498
2.2488 0.8049 2.3396
1.5780 1.7820 7.6418
3.7962 3.3918 2.9626
3.1255 4.3689 8.2648
4.1860 0.8991 4.8546
3.5153 1.6878 10.1568
4.2358 2.9771 6.0360
4.9065 4.7836 0.7338
5.5104 1.0546 6.8487
6.1812 1.5323 1.5465
```

symmetry: No. 14
formation energy from the elements: -2546.3 meV/atom
size of the total moment: 0.25 μB/atom

---

(8)
A geometry-optimized Li4VB2O6 structure. Source: Materials Project, functional GGA+U.

Geometry as POSCAR:
```
Li4VB2O6
1.0
0.0000 0.0000 3.3852
9.2734 0.0003 0.0000
0.0005 15.7638 0.0000
O Li B V
24 16 8 4
Cartesian
5.7217 6.9060 0.0000
3.5519 8.8584 0.0000
5.9951 1.9083 1.6926
7.9151 5.8501 3.3852
5.9131 12.3964 3.3852
3.3617 11.2488 3.3852
5.9953 9.7898 1.6926
1.0851 12.7985 1.6926
7.9982 8.4562 1.6926
8.1884 2.9648 1.6926
1.3583 2.0330 3.3852
5.9121 4.5158 3.3852
8.1888 10.8468 1.6926
1.2762 7.3085 1.6926
3.5517 0.9768 0.0000
1.3584 9.9148 0.0000
3.2786 13.8549 1.6926
5.7224 14.7870 0.0000
1.0854 4.9179 1.6926
1.2758 15.1889 1.6926
7.9159 13.7302 0.0000
3.2788 5.9747 1.6926
7.9978 0.5742 1.6926
3.3611 3.3671 3.3852
5.1309 10.4426 3.3852
0.4940 1.3798 1.6926
0.4942 9.2622 1.6926
6.4838 3.8641 1.6926
5.1308 2.5615 3.3852
6.4844 11.7452 1.6926
2.7899 11.8999 1.6926
1.8477 7.9597 3.3852
8.7799 6.5023 1.6926
4.1435 13.2029 0.0000
7.4264 7.8051 3.3852
4.1429 5.3213 0.0000
1.8469 0.0770 3.3852
7.4268 15.6860 3.3852
8.7799 14.3836 1.6926
2.7897 4.0189 1.6926
6.5236 5.7399 0.0000
1.8880 6.0851 1.6926
2.7499 10.0250 0.0000
7.3863 1.7980 1.6926
7.3863 9.6797 1.6926
2.7494 2.1436 3.3852
1.8873 13.9650 1.6926
6.5248 13.6199 0.0000
4.6365 7.8822 1.6925
9.2734 11.8211 3.3849
0.0001 3.9429 0.0003
4.6366 0.0009 1.6926
```

formation energy from the elements: -2615.1 meV/atom
size of the total moment: 0.02 μB/atom

---

Number 1: raw total energy -6.8881 eV per atom. Number 2: raw total energy -7.0446 eV per atom. Number 3: raw total energy -7.1861 eV per atom. Number 4: raw total energy -6.8760 eV per atom. Number 5: raw total energy -7.5770 eV per atom. Number 6: raw total energy -7.5893 eV per atom. Number 7: raw total energy -6.9119 eV per atom. Number 8: raw total energy -6.7647 eV per atom.